The following is a meta-GGA r2SCAN calculation of crystalline LiPm2Ir at its relaxed geometry, from the Materials Project.

Summary:
Total energy ... -115.8 eV per cell
Formation enthalpy at 0 K ... -0.5049 eV/atom

Cell: 5.0310 5.0310 5.0310 Å, 60.00 60.00 60.00°
Closest atoms and distances in Å follow each position.
Positions (direct):
Li 0.7500 0.7500 0.7500  8 Pm 3.08
Pm 0.0000 0.0000 0.0000  4 Li 3.08, 4 Ir 3.08
Pm 0.5000 0.5000 0.5000  4 Li 3.08, 4 Ir 3.08
Ir 0.2500 0.2500 0.2500  8 Pm 3.08